No. 1
K2UMo2O11 | GGA+U | relaxed

extended XYZ file:
```
64
Lattice="8.109 0.000 0.000 0.000 11.046 0.000 -2.206 0.000 13.497" Properties=species:S:1:pos:R:3 pbc="T T T"
K -0.356 1.893 5.486
K -1.459 3.630 12.234
K 1.133 6.398 5.034
K 0.030 10.172 11.782
K 5.873 0.874 1.714
K 4.770 4.649 8.463
K 7.362 7.417 1.263
K 6.259 9.153 8.011
U 3.517 8.189 1.962
U 2.414 8.381 8.710
U 3.489 2.666 4.787
U 2.386 2.857 11.535
Mo 1.610 0.485 1.928
Mo 0.507 5.039 8.677
Mo 2.648 1.126 8.007
Mo 3.751 4.397 1.259
Mo 2.152 6.649 12.238
Mo 3.255 9.920 5.489
Mo 5.396 6.008 4.820
Mo 4.293 10.562 11.568
O -1.604 7.790 10.913
O -0.501 8.780 4.164
O 0.218 11.042 2.923
O -0.885 5.528 9.671
O 0.957 1.446 0.608
O -0.146 4.077 7.357
O 0.917 1.147 7.832
O 2.020 4.376 1.084
O 1.882 7.371 2.121
O 0.779 9.198 8.869
O 0.744 2.042 11.633
O 1.847 3.482 4.885
O 1.374 6.452 7.876
O 2.477 10.117 1.128
O 2.792 1.501 2.894
O 1.689 4.022 9.642
O 1.304 8.026 13.102
O 2.407 8.543 6.354
O 2.551 0.597 5.618
O 1.448 4.927 12.366
O 1.829 7.024 10.501
O 2.932 9.545 3.753
O 2.971 1.501 9.744
O 4.074 4.022 2.996
O 4.455 6.120 1.131
O 3.352 10.450 7.879
O 3.496 2.503 7.143
O 4.599 3.020 0.394
O 4.215 7.024 3.854
O 3.112 9.545 10.603
O 3.426 0.929 12.369
O 4.529 4.594 5.620
O 4.056 7.565 8.612
O 5.159 9.005 1.863
O 5.124 1.848 4.628
O 4.021 3.675 11.376
O 3.883 6.670 12.413
O 4.986 9.900 5.665
O 6.049 6.969 6.140
O 4.946 9.600 12.888
O 5.685 0.005 10.574
O 6.788 5.519 3.826
O 6.404 2.267 9.332
O 7.507 3.256 2.584
```

---

No. 2
K6U2Mo4O21 | GGA+U | relaxed

extended XYZ file:
```
33
Lattice="7.975 0.000 0.000 1.371 7.979 0.000 1.077 3.236 10.021" Properties=species:S:1:pos:R:3 pbc="T T T"
K 0.945 1.596 2.233
K 3.762 6.794 4.751
K 4.413 4.516 8.432
K 6.010 6.699 1.590
K 6.661 4.422 5.270
K 9.478 9.620 7.788
U 5.719 8.350 8.171
U 4.704 2.866 1.851
Mo 2.232 5.558 1.071
Mo 2.802 2.817 5.335
Mo 7.620 8.399 4.686
Mo 8.190 5.657 8.950
O 1.098 3.268 5.140
O 1.911 5.220 8.787
O 3.659 8.839 9.296
O 2.526 3.901 1.804
O 3.199 6.787 1.936
O 4.250 9.610 6.715
O 3.799 4.246 5.711
O 3.378 2.033 3.793
O 5.083 6.891 7.227
O 3.992 1.357 1.050
O 4.673 3.990 0.000
O 6.431 9.858 8.971
O 5.340 4.324 2.794
O 7.044 9.183 6.228
O 6.623 6.969 4.310
O 6.172 1.605 3.306
O 7.224 4.429 8.085
O 7.897 7.314 8.218
O 6.764 2.376 0.726
O 8.512 5.995 1.235
O 9.324 7.947 4.881
```

---

No. 3
KVMoO6 | GGA+U | relaxed

extended XYZ file:
```
36
Lattice="10.640 0.000 0.000 0.000 3.765 0.000 0.000 0.000 13.791" Properties=species:S:1:pos:R:3 pbc="T T T"
K 1.227 0.941 1.901
K 4.093 2.824 8.797
K 6.547 0.941 4.994
K 9.414 2.824 11.890
V 0.150 0.941 8.386
V 5.170 2.824 1.490
V 5.470 0.941 12.301
V 10.490 2.824 5.405
Mo 2.489 0.941 5.836
Mo 2.831 2.824 12.731
Mo 7.810 0.941 1.060
Mo 8.151 2.824 7.956
O 0.070 2.824 3.772
O 0.288 0.941 5.847
O 1.234 2.824 13.457
O 1.829 0.941 8.090
O 1.943 2.824 6.003
O 2.512 2.824 11.027
O 2.808 0.941 4.131
O 3.377 0.941 12.899
O 3.491 2.824 1.194
O 4.087 0.941 6.561
O 5.032 2.824 12.743
O 5.250 0.941 10.668
O 5.390 2.824 3.123
O 5.608 0.941 1.049
O 6.554 2.824 7.230
O 7.149 0.941 12.597
O 7.264 2.824 0.893
O 7.832 2.824 9.660
O 8.128 0.941 2.765
O 8.697 0.941 7.788
O 8.811 2.824 5.702
O 9.407 0.941 0.334
O 10.352 2.824 7.945
O 10.570 0.941 10.019
```

---

No. 4
KYMo2O8 | GGA+U | relaxed

extended XYZ file:
```
48
Lattice="5.147 0.000 0.000 0.000 18.941 0.000 0.000 0.000 8.103" Properties=species:S:1:pos:R:3 pbc="T T T"
K 0.000 4.246 2.026
K 0.000 14.694 6.077
K 2.574 5.224 6.077
K 2.574 13.717 2.026
Y 0.000 0.063 6.077
Y 0.000 18.878 2.026
Y 2.574 9.407 2.026
Y 2.574 9.534 6.077
Mo 0.116 7.577 4.115
Mo 0.116 11.364 0.064
Mo 2.458 1.893 0.064
Mo 2.458 17.048 4.115
Mo 2.689 1.893 3.988
Mo 2.689 17.048 8.039
Mo 5.032 7.577 8.039
Mo 5.032 11.364 3.988
O 0.511 5.939 8.001
O 0.511 13.002 3.949
O 1.203 7.669 2.687
O 1.203 11.272 6.738
O 1.244 7.725 5.533
O 1.244 11.216 1.481
O 1.276 0.673 4.072
O 1.276 18.268 0.020
O 1.298 8.798 0.020
O 1.298 10.143 4.072
O 1.330 1.745 1.481
O 1.330 17.196 5.533
O 1.371 1.802 6.738
O 1.371 17.139 2.687
O 2.062 3.532 3.949
O 2.062 15.409 8.001
O 3.085 3.532 0.102
O 3.085 15.409 4.153
O 3.776 1.802 5.416
O 3.776 17.139 1.365
O 3.817 1.745 2.570
O 3.817 17.196 6.622
O 3.850 8.798 4.031
O 3.850 10.143 8.082
O 3.871 0.673 8.082
O 3.871 18.268 4.031
O 3.904 7.725 6.622
O 3.904 11.216 2.570
O 3.945 7.669 1.365
O 3.945 11.272 5.416
O 4.636 5.939 4.153
O 4.636 13.002 0.102
```

---

No. 5
K2Zn2Mo3O12 | GGA+U | relaxed

extended XYZ file:
```
76
Lattice="7.043 0.000 0.000 0.000 9.253 0.000 -6.690 0.000 19.617" Properties=species:S:1:pos:R:3 pbc="T T T"
K -1.197 1.017 5.705
K -4.542 3.610 15.513
K 1.452 4.786 1.936
K -1.893 9.093 11.745
K 2.247 0.160 7.873
K -1.098 4.466 17.681
K 4.895 5.643 4.104
K 1.550 8.236 13.912
Zn 0.714 1.224 2.667
Zn -2.631 3.402 12.475
Zn -0.674 5.557 11.092
Zn 2.672 8.322 1.283
Zn -2.318 0.930 18.334
Zn 1.027 3.696 8.525
Zn 2.984 5.850 7.142
Zn -0.361 8.029 16.951
Mo -5.870 1.574 18.917
Mo -2.525 3.053 9.108
Mo -0.565 6.612 7.842
Mo -3.910 7.267 17.651
Mo -1.718 6.338 14.219
Mo 1.627 7.541 4.410
Mo -1.274 1.712 15.207
Mo 2.071 2.915 5.399
Mo 4.263 1.986 1.966
Mo 0.918 2.641 11.775
Mo 2.878 6.200 10.509
Mo 6.223 7.679 0.700
O -2.476 1.677 8.028
O -5.821 2.949 17.837
O -2.015 6.016 6.970
O -5.360 7.863 16.778
O 0.667 2.316 0.929
O -2.678 2.310 10.738
O -2.745 5.147 11.034
O 0.600 8.732 1.225
O 0.400 6.296 4.505
O -2.945 7.583 14.313
O -4.307 0.690 18.758
O -0.962 3.936 8.950
O -2.501 4.729 14.030
O 0.844 9.150 4.222
O -3.495 5.689 16.997
O -0.150 8.190 7.188
O -2.309 1.798 13.728
O 1.036 2.828 3.919
O -0.887 6.877 9.600
O -4.232 7.002 19.408
O -2.289 2.083 16.677
O 1.056 2.544 6.868
O 0.890 5.520 7.604
O -2.455 8.359 17.413
O 2.809 0.894 2.205
O -0.536 3.733 12.013
O -0.702 6.709 12.749
O 2.643 7.170 2.941
O 4.585 2.251 0.209
O 1.240 2.376 10.017
O -0.683 6.424 15.698
O 2.662 7.455 5.889
O 0.503 1.063 12.429
O 3.848 3.564 2.620
O -0.490 0.103 15.396
O 2.855 4.523 5.587
O 1.315 5.316 10.667
O 4.660 8.562 0.859
O 3.298 1.670 5.304
O -0.047 2.956 15.113
O -0.247 0.520 18.392
O 3.098 4.106 8.583
O 3.032 6.942 8.879
O -0.313 6.937 18.688
O 5.713 1.389 2.839
O 2.368 3.237 12.647
O 6.174 6.303 1.781
O 2.829 7.576 11.589
```

---

No. 6
K8ZrMo6O24 | GGA+U | relaxed

extended XYZ file:
```
78
Lattice="10.454 0.000 0.000 0.000 12.117 0.000 -6.490 0.000 11.679" Properties=species:S:1:pos:R:3 pbc="T T T"
K -1.653 2.675 4.941
K -4.898 3.384 10.780
K -1.070 6.908 4.572
K -4.315 11.268 10.411
K -1.364 8.508 8.241
K 1.881 9.667 2.401
K -1.194 0.682 8.410
K 2.051 5.376 2.570
K 1.913 6.741 9.109
K 5.158 11.435 3.269
K 2.083 2.450 9.277
K 5.328 3.609 3.438
K 8.279 0.849 1.268
K 5.034 5.209 7.107
K 8.862 8.733 0.899
K 5.617 9.442 6.738
Zr 1.982 0.000 5.839
Zr 5.227 6.059 0.000
Mo -4.664 7.358 10.529
Mo -1.419 10.818 4.690
Mo 1.444 1.275 2.395
Mo -1.801 4.784 8.234
Mo 5.041 2.180 0.078
Mo 1.796 3.879 5.917
Mo 2.168 8.238 5.761
Mo -1.077 9.937 11.601
Mo 5.765 7.333 3.444
Mo 2.520 10.842 9.284
Mo 5.383 1.299 6.989
Mo 8.628 4.759 1.150
O -3.820 0.199 7.619
O -0.575 5.860 1.780
O -5.408 8.530 11.651
O -2.163 9.646 5.812
O -3.908 8.243 9.181
O -0.663 9.932 3.342
O -0.163 1.766 2.947
O -3.408 4.292 8.787
O 1.210 0.169 1.036
O -2.034 5.890 6.875
O -3.365 6.362 11.433
O -0.120 11.814 5.594
O -2.824 1.476 10.880
O 0.421 4.583 5.041
O 2.341 2.729 1.867
O -0.904 3.329 7.706
O 1.874 7.498 4.164
O -1.371 10.678 10.004
O 2.300 0.306 3.764
O -0.945 5.753 9.603
O 0.725 7.930 6.748
O 3.970 10.246 0.908
O 1.593 2.039 6.140
O 4.838 4.020 0.301
O -0.874 8.097 11.378
O 2.371 10.078 5.538
O -0.006 1.872 10.770
O 3.239 4.187 4.931
O 4.908 6.364 2.076
O 1.663 11.811 7.915
O 5.335 1.439 1.675
O 2.090 4.619 7.514
O 4.868 8.788 3.973
O 1.623 9.388 9.812
O 3.543 7.534 6.638
O 6.788 10.641 0.799
O 4.084 0.303 6.085
O 7.329 5.755 0.245
O 5.998 6.227 4.804
O 2.753 11.949 10.643
O 7.372 7.825 2.892
O 4.127 10.351 8.731
O 4.627 2.185 8.337
O 7.872 3.874 2.497
O 6.127 2.471 5.867
O 9.372 3.587 0.028
O 4.539 6.257 9.899
O 7.784 11.918 4.059
```

---

No. 7
K4Na4NbW7O24 | GGA+U | relaxed

extended XYZ file:
```
40
Lattice="8.020 0.000 0.000 0.000 8.020 0.000 0.000 0.000 8.011" Properties=species:S:1:pos:R:3 pbc="T T T"
K 1.996 1.996 0.000
K 1.996 6.024 0.000
K 6.024 1.996 0.000
K 6.024 6.024 0.000
Na 1.995 1.995 3.980
Na 1.995 6.024 3.980
Na 6.024 1.995 3.980
Na 6.024 6.024 3.980
Nb 0.000 0.000 2.012
W 0.000 0.000 5.985
W 0.000 4.010 2.005
W 0.000 4.010 5.975
W 4.010 0.000 2.005
W 4.010 0.000 5.975
W 4.010 4.010 1.998
W 4.010 4.010 5.981
O 0.000 0.000 4.007
O 0.000 0.000 7.970
O 0.000 2.009 5.961
O 0.000 2.021 2.018
O 0.000 4.010 0.042
O 0.000 4.010 3.944
O 0.000 5.998 2.018
O 0.000 6.011 5.961
O 1.958 4.010 2.019
O 1.961 4.010 5.962
O 2.009 0.000 5.961
O 2.021 0.000 2.018
O 4.010 0.000 0.042
O 4.010 0.000 3.944
O 4.010 1.958 2.019
O 4.010 1.961 5.962
O 4.010 4.010 0.083
O 4.010 4.010 3.909
O 4.010 6.059 5.962
O 4.010 6.062 2.019
O 5.998 0.000 2.018
O 6.011 0.000 5.961
O 6.059 4.010 5.962
O 6.062 4.010 2.019
```

---

| no. | energy relative to the elements (eV per formula unit) |
| --- | --- |
| 1 | -36.0 |
| 2 | -84.1 |
| 3 | -19.8 |
| 4 | -30.5 |
| 5 | -38.9 |
| 6 | -90.1 |
| 7 | -90.0 |